i) DFT (GGA-PBE) results for an optimized crystal structure of KMgBiO3.

Calculated values
V (Å³/f.u.): 108.71

The structure in POSCAR format:
```
KMgBiO3
1.0
4.4840 0.0000 0.0000
0.0000 4.4840 0.0000
0.0000 0.0000 5.4069
K Mg Bi O
1 1 1 3
Direct
0.0000 0.0000 0.0000
0.0000 0.0000 0.5000
0.5000 0.5000 0.5000
0.0000 0.5000 0.5000
0.5000 0.0000 0.5000
0.5000 0.5000 0.0000
```

ii) DFT (GGA-PBE) results for an optimized crystal structure of KMgBiO3.

Calculated values
V (Å³/f.u.): 127.90

The structure in POSCAR format:
```
KMgBiO3
1.0
4.0855 -3.1753 0.0000
4.0855 3.1753 0.0000
-1.6367 0.0000 4.9297
K Mg Bi O
1 1 1 3
Direct
0.0000 0.0000 0.0000
0.4080 0.4080 0.5898
0.6753 0.6753 0.3225
0.1006 0.6113 0.3855
0.6113 0.1006 0.3855
0.6107 0.6107 0.8987
```

Stability ranking, top entry: ii); the second entry is 52.7 kJ/mol of atoms less favorable.

i) DFT (GGA-PBE) results for an optimized crystal structure of KNaTi4Bi2O12.

Calculated values
V (Å³/f.u.): 251.53

The structure in POSCAR format:
```
KNaTi4Bi2O12
1.0
4.9380 -2.7896 0.0000
4.9380 2.7896 0.0000
-3.1591 0.0000 9.1299
K Na Ti Bi O
1 1 4 2 12
Direct
0.0000 0.0000 0.0000
0.5042 0.5042 0.5017
0.1371 0.1371 0.3802
0.3708 0.3708 0.1241
0.6369 0.6369 0.8784
0.8696 0.8696 0.6227
0.2977 0.2977 0.7642
0.7984 0.7984 0.2676
0.2136 0.7282 0.2454
0.2308 0.7102 0.7410
0.2348 0.2348 0.2465
0.4704 0.4704 0.9842
0.4826 0.9804 0.4949
0.4846 0.9835 0.9947
0.7102 0.2308 0.7410
0.7282 0.2136 0.2454
0.7315 0.7315 0.7426
0.9706 0.9706 0.4849
0.9804 0.4826 0.4949
0.9835 0.4846 0.9947
```

ii) DFT (GGA-PBE) results for an optimized crystal structure of KNaTi4Bi2O12.

Calculated values
V (Å³/f.u.): 257.42

The structure in POSCAR format:
```
KNaTi4Bi2O12
1.0
7.7740 0.0000 0.0000
0.0000 3.8896 4.2566
0.0000 -3.8896 4.2566
K Na Ti Bi O
1 1 4 2 12
Direct
0.0000 0.0000 0.0000
0.5000 0.4825 0.4825
0.2526 0.4926 0.9927
0.2526 0.9927 0.4926
0.7474 0.4926 0.9927
0.7474 0.9927 0.4926
0.0000 0.4431 0.4431
0.5000 0.9460 0.9460
0.0000 0.0484 0.5248
0.0000 0.5248 0.0484
0.2435 0.2909 0.2909
0.2552 0.2878 0.7858
0.2552 0.7858 0.2878
0.2628 0.7872 0.7872
0.5000 0.0371 0.5477
0.5000 0.5477 0.0371
0.7372 0.7872 0.7872
0.7448 0.2878 0.7858
0.7448 0.7858 0.2878
0.7565 0.2909 0.2909
```

Stability ranking, top entry: ii); the second entry is 1.9 kJ/mol of atoms less favorable.

i) DFT (GGA-PBE) results for an optimized crystal structure of KSrNbBiO6.

Calculated values
V (Å³/f.u.): 151.62

The structure in POSCAR format:
```
KSrNbBiO6
1.0
0.0000 4.2323 4.2323
4.2323 0.0000 4.2323
4.2323 4.2323 0.0000
K Sr Nb Bi O
1 1 1 1 6
Direct
0.0000 0.0000 0.0000
0.5000 0.5000 0.5000
0.2500 0.2500 0.2500
0.7500 0.7500 0.7500
0.0129 0.0129 0.4871
0.0129 0.4871 0.0129
0.0129 0.4871 0.4871
0.4871 0.0129 0.0129
0.4871 0.0129 0.4871
0.4871 0.4871 0.0129
```

ii) DFT (GGA-PBE) results for an optimized crystal structure of KSrNbBiO6.

Calculated values
V (Å³/f.u.): 150.25

The structure in POSCAR format:
```
KSrNbBiO6
1.0
8.4283 0.0000 0.0000
0.0000 8.4296 0.0000
0.0000 0.0000 8.4590
K Sr Nb Bi O
4 4 4 4 24
Direct
0.2500 0.2500 0.2500
0.2500 0.7500 0.2500
0.7500 0.2500 0.7500
0.7500 0.7500 0.7500
0.2500 0.2500 0.7500
0.2500 0.7500 0.7500
0.7500 0.2500 0.2500
0.7500 0.7500 0.2500
0.0000 0.0000 0.0000
0.0000 0.5000 0.5000
0.5000 0.0000 0.5000
0.5000 0.5000 0.0000
0.0000 0.0000 0.5000
0.0000 0.5000 0.0000
0.5000 0.0000 0.0000
0.5000 0.5000 0.5000
0.0132 0.2366 0.0144
0.0132 0.2634 0.4856
0.0278 0.0139 0.7623
0.0278 0.4861 0.7377
0.2364 0.5161 0.4935
0.2364 0.9839 0.0065
0.2636 0.5161 0.0065
0.2636 0.9839 0.4935
0.4722 0.0139 0.7377
0.4722 0.4861 0.7623
0.4868 0.2366 0.4856
0.4868 0.2634 0.0144
0.5132 0.7366 0.9856
0.5132 0.7634 0.5144
0.5278 0.5139 0.2377
0.5278 0.9861 0.2623
0.7364 0.0161 0.5065
0.7364 0.4839 0.9935
0.7636 0.0161 0.9935
0.7636 0.4839 0.5065
0.9722 0.5139 0.2623
0.9722 0.9861 0.2377
0.9868 0.7366 0.5144
0.9868 0.7634 0.9856
```

Stability ranking, top entry: ii); the second entry is 2.8 kJ/mol of atoms less favorable.

i) DFT (GGA-PBE) results for an optimized crystal structure of KSrPrBiO6.

Calculated values
V (Å³/f.u.): 174.89

The structure in POSCAR format:
```
KSrPrBiO6
1.0
0.0000 4.4386 4.4386
4.4386 0.0000 4.4386
4.4386 4.4386 0.0000
K Sr Pr Bi O
1 1 1 1 6
Direct
0.0000 0.0000 0.0000
0.5000 0.5000 0.5000
0.7500 0.7500 0.7500
0.2500 0.2500 0.2500
0.0117 0.0117 0.4883
0.0117 0.4883 0.0117
0.0117 0.4883 0.4883
0.4883 0.0117 0.0117
0.4883 0.0117 0.4883
0.4883 0.4883 0.0117
```

ii) DFT (GGA-PBE) results for an optimized crystal structure of KSrPrBiO6.

Calculated values
V (Å³/f.u.): 170.81

The structure in POSCAR format:
```
KSrPrBiO6
1.0
8.7666 0.0000 0.0000
0.0000 8.7975 0.0000
0.0000 0.0000 8.8589
K Sr Pr Bi O
4 4 4 4 24
Direct
0.2500 0.2500 0.2500
0.2500 0.7500 0.2500
0.7500 0.2500 0.7500
0.7500 0.7500 0.7500
0.2500 0.2500 0.7500
0.2500 0.7500 0.7500
0.7500 0.2500 0.2500
0.7500 0.7500 0.2500
0.0000 0.0000 0.0000
0.0000 0.5000 0.5000
0.5000 0.0000 0.5000
0.5000 0.5000 0.0000
0.0000 0.0000 0.5000
0.0000 0.5000 0.0000
0.5000 0.0000 0.0000
0.5000 0.5000 0.5000
0.0176 0.0369 0.2628
0.0176 0.4631 0.2372
0.0329 0.7373 0.0262
0.0329 0.7627 0.4738
0.2375 0.0302 0.5510
0.2375 0.4698 0.9490
0.2625 0.0302 0.9490
0.2625 0.4698 0.5510
0.4671 0.7373 0.4738
0.4671 0.7627 0.0262
0.4824 0.0369 0.2372
0.4824 0.4631 0.2628
0.5176 0.5369 0.7372
0.5176 0.9631 0.7628
0.5329 0.2373 0.9738
0.5329 0.2627 0.5262
0.7375 0.5302 0.4490
0.7375 0.9698 0.0510
0.7625 0.5302 0.0510
0.7625 0.9698 0.4490
0.9671 0.2373 0.5262
0.9671 0.2627 0.9738
0.9824 0.5369 0.7628
0.9824 0.9631 0.7372
```

Stability ranking, top entry: ii); the second entry is 3.6 kJ/mol of atoms less favorable.